! W3O10 (GGA+U, optimized geometry); values from VASP
! ΔE to the lowest computed polymorph (meV/atom): 0
! Energy relative to the elements (eV/atom): -1.84
! SG: Fmm2 (42)
! Size of the total moment (Bohr magnetons per cell): 2.00
&SYSTEM
  ibrav = 0, nat = 13, ntyp = 2
/
ATOMIC_SPECIES
W 183.84 W.upf
O 16.00 O.upf
ATOMIC_POSITIONS crystal
W 0.9519 0.0481 0.9519
W 0.0172 0.4828 0.0172
W 0.5172 0.9828 0.5172
O 0.7562 0.7438 0.7562
O 0.0696 0.7175 0.9246
O 0.7276 0.2724 0.7276
O 0.9246 0.2884 0.0696
O 0.2825 0.9304 0.7116
O 0.2409 0.7591 0.2409
O 0.7216 0.7069 0.2931
O 0.7116 0.0754 0.2825
O 0.2562 0.2438 0.2562
O 0.2931 0.2784 0.7216
CELL_PARAMETERS angstrom
0.0000 3.8897 6.4590
3.7478 0.0000 6.4590
3.7478 3.8897 0.0000

---

! WO3 (GGA+U, optimized geometry); values from VASP
! Energy relative to the elements (eV/atom): -2.18
! SG: Pbcm (57)
! Size of the total moment (Bohr magnetons per cell): 0.00
&SYSTEM
  ibrav = 0, nat = 16, ntyp = 2
/
ATOMIC_SPECIES
O 16.00 O.upf
W 183.84 W.upf
ATOMIC_POSITIONS crystal
O 0.0000 0.5000 0.0000
O 0.9984 0.2500 0.2440
O 0.4935 0.7500 0.0065
O 0.0000 0.0000 0.0000
O 0.9984 0.7500 0.2560
O 0.5065 0.2500 0.9935
O 0.4935 0.2500 0.4935
O 0.0016 0.7500 0.7560
O 0.0000 0.5000 0.5000
O 0.0000 0.0000 0.5000
O 0.5065 0.7500 0.5065
O 0.0016 0.2500 0.7440
W 0.9704 0.7500 0.0163
W 0.0296 0.7500 0.5163
W 0.9704 0.2500 0.4837
W 0.0296 0.2500 0.9837
CELL_PARAMETERS angstrom
-1.2570 3.6679 0.2433
-5.1456 -2.1155 5.3070
5.1838 1.4059 5.5866

---

! WO3 (GGA+U, optimized geometry); values from VASP
! Energy relative to the elements (eV/atom): -1.95
! SG: P1 (1)
! Size of the total moment (Bohr magnetons per cell): 0.00
&SYSTEM
  ibrav = 0, nat = 100, ntyp = 2
/
ATOMIC_SPECIES
W 183.84 W.upf
O 16.00 O.upf
ATOMIC_POSITIONS crystal
W 0.0059 0.9485 0.9348
W 0.1284 0.4744 0.9821
W 0.5062 0.3791 0.1732
W 0.5876 0.0960 0.1376
W 0.8678 0.2288 0.5199
W 0.0359 0.2039 0.1130
W 0.1904 0.0716 0.7248
W 0.6368 0.1517 0.8361
W 0.8226 0.6665 0.6348
W 0.5800 0.3284 0.4791
W 0.5089 0.7578 0.0096
W 0.8607 0.6516 0.3411
W 0.4552 0.1179 0.4054
W 0.7732 0.8228 0.0838
W 0.8031 0.3882 0.7257
W 0.5716 0.8568 0.5548
W 0.2753 0.0936 0.1535
W 0.2393 0.4687 0.2696
W 0.9953 0.9311 0.5322
W 0.0847 0.5152 0.6927
W 0.4326 0.6041 0.4527
W 0.4099 0.9439 0.7926
W 0.4187 0.5192 0.8799
W 0.1525 0.7494 0.3726
W 0.8747 0.3426 0.2503
O 0.2811 0.5022 0.9529
O 0.3527 0.1722 0.4829
O 0.8475 0.3972 0.8558
O 0.1889 0.3595 0.3569
O 0.7530 0.0596 0.8287
O 0.8942 0.1920 0.1711
O 0.4700 0.3978 0.8206
O 0.5674 0.0576 0.2789
O 0.0825 0.0581 0.8290
O 0.9292 0.4960 0.6640
O 0.5277 0.6279 0.9327
O 0.8820 0.0717 0.5571
O 0.5199 0.0833 0.7782
O 0.3702 0.6132 0.7688
O 0.1109 0.8213 0.4983
O 0.0101 0.1046 0.0143
O 0.6155 0.7623 0.1165
O 0.5049 0.2914 0.3408
O 0.5595 0.4939 0.4357
O 0.8736 0.4899 0.3164
O 0.7306 0.7233 0.3443
O 0.4632 0.9601 0.4705
O 0.6186 0.1590 0.9787
O 0.2681 0.9654 0.0951
O 0.2164 0.2195 0.0635
O 0.0443 0.5997 0.9665
O 0.6173 0.2511 0.1594
O 0.3141 0.9830 0.6665
O 0.9886 0.7399 0.3425
O 0.7550 0.7720 0.9597
O 0.0337 0.3460 0.0146
O 0.4816 0.4143 0.0318
O 0.5152 0.8808 0.6882
O 0.8945 0.9144 0.0484
O 0.0941 0.0085 0.6182
O 0.1236 0.4407 0.8306
O 0.8869 0.2665 0.6680
O 0.5630 0.5058 0.2079
O 0.3515 0.0961 0.2881
O 0.2986 0.7105 0.4276
O 0.7893 0.4021 0.1439
O 0.3896 0.7389 0.0826
O 0.4406 0.1025 0.0986
O 0.1654 0.4805 0.1322
O 0.4923 0.3279 0.5851
O 0.1628 0.4681 0.5890
O 0.8707 0.6175 0.4916
O 0.9382 0.8867 0.8323
O 0.6876 0.9705 0.1153
O 0.3545 0.8123 0.8470
O 0.7270 0.5270 0.6697
O 0.6765 0.2944 0.7603
O 0.8069 0.2525 0.3691
O 0.9948 0.2803 0.4804
O 0.1799 0.8619 0.2766
O 0.8468 0.7064 0.1756
O 0.1125 0.8486 0.9797
O 0.0955 0.6668 0.6847
O 0.9753 0.9888 0.3993
O 0.5226 0.7326 0.4727
O 0.1251 0.1017 0.2137
O 0.1931 0.2186 0.6811
O 0.1588 0.6057 0.3062
O 0.6836 0.7411 0.6215
O 0.7271 0.3305 0.5386
O 0.3533 0.3775 0.2018
O 0.3045 0.0520 0.8437
O 0.3973 0.5420 0.5763
O 0.8661 0.6804 0.7642
O 0.8947 0.8171 0.5757
O 0.5851 0.1561 0.4856
O 0.5126 0.9065 0.9307
O 0.0242 0.3339 0.2207
O 0.6793 0.9457 0.5171
O 0.3627 0.5260 0.3437
CELL_PARAMETERS angstrom
-10.2296 -5.7031 3.0026
4.5117 -3.9364 9.8537
-3.1807 9.9233 7.0422

---

! W3O10 (GGA+U, optimized geometry); values from VASP
! ΔE to the lowest computed polymorph (meV/atom): 71
! Energy relative to the elements (eV/atom): -1.77
! SG: P1 (1)
! Size of the total moment (Bohr magnetons per cell): 0.05
&SYSTEM
  ibrav = 0, nat = 13, ntyp = 2
/
ATOMIC_SPECIES
W 183.84 W.upf
O 16.00 O.upf
ATOMIC_POSITIONS crystal
W 0.9630 0.9485 0.9937
W 0.0005 0.5123 0.4921
W 0.5044 0.0156 0.4998
O 0.0695 0.7060 0.7807
O 0.7188 0.7169 0.4227
O 0.9366 0.2889 0.2056
O 0.7173 0.0675 0.7816
O 0.2351 0.2844 0.0373
O 0.7373 0.7425 0.0107
O 0.2553 0.7528 0.4960
O 0.2912 0.9310 0.2090
O 0.7550 0.2492 0.4899
O 0.2912 0.2888 0.5698
CELL_PARAMETERS angstrom
-5.3810 0.0000 0.0000
-0.1538 -5.3978 0.0000
2.6722 2.5763 6.4731

---

Q: What is the formula in the third record?
A: WO3

---

Q: Which of these has the lowest energy relative to the elements?
A: number 2

---

What did the first record say?
! W3O10 (GGA+U, optimized geometry); values from VASP
! ΔE to the lowest computed polymorph (meV/atom): 0
! Energy relative to the elements (eV/atom): -1.84
! SG: Fmm2 (42)
! Size of the total moment (Bohr magnetons per cell): 2.00
&SYSTEM
  ibrav = 0, nat = 13, ntyp = 2
/
ATOMIC_SPECIES
W 183.84 W.upf
O 16.00 O.upf
ATOMIC_POSITIONS crystal
W 0.9519 0.0481 0.9519
W 0.0172 0.4828 0.0172
W 0.5172 0.9828 0.5172
O 0.7562 0.7438 0.7562
O 0.0696 0.7175 0.9246
O 0.7276 0.2724 0.7276
O 0.9246 0.2884 0.0696
O 0.2825 0.9304 0.7116
O 0.2409 0.7591 0.2409
O 0.7216 0.7069 0.2931
O 0.7116 0.0754 0.2825
O 0.2562 0.2438 0.2562
O 0.2931 0.2784 0.7216
CELL_PARAMETERS angstrom
0.0000 3.8897 6.4590
3.7478 0.0000 6.4590
3.7478 3.8897 0.0000

---

Q: The lowest energy relative to the elements belongs to which entry?
A: number 2